--- w ---
## MgSc2Ag2O6 (PBE-GGA)

Data for MgSc2Ag2O6 after structural relaxation.

For the total magnetic moment, the calculation gives 0.0 μB per formula unit. Its volume is 13.9 A^3/atom.

Unit cell a=6.895 b=6.891 c=3.276 alpha=90.01 beta=90.01 gamma=78.29
Fractional coordinates of all 11 atoms:
Ag (0.496, 0.495, 0.500)
Ag (0.015, 0.014, 0.500)
O (0.184, 0.526, 0.500)
O (0.527, 0.184, 0.500)
O (0.821, 0.475, 0.500)
O (0.859, 0.858, 0.000)
O (0.153, 0.153, 0.000)
O (0.475, 0.821, 0.500)
Sc (0.036, 0.448, 0.000)
Sc (0.448, 0.036, 0.000)
Mg (0.763, 0.763, 0.500)

=====

--- x ---
## MgSc2Ag2O6 (PBE-GGA)

Data for MgSc2Ag2O6 after structural relaxation.

For the total magnetic moment, the calculation gives 0.0 μB per formula unit. Its volume is 14.3 A^3/atom.

Unit cell a=7.221 b=7.220 c=3.075 alpha=90.00 beta=90.00 gamma=79.67
Fractional coordinates of all 11 atoms:
O (0.509, 0.815, 0.500)
O (0.183, 0.504, 0.500)
O (0.504, 0.183, 0.500)
O (0.136, 0.136, 0.000)
O (0.875, 0.874, 0.000)
O (0.815, 0.509, 0.500)
Ag (0.485, 0.485, 0.500)
Ag (0.997, 0.996, 0.500)
Sc (0.431, 0.040, 0.000)
Sc (0.040, 0.431, 0.000)
Mg (0.698, 0.698, 0.000)

=====

Which one sits at the bottom of the stability order? x does.

=====

--- w ---
## MgSi2Ag8O8 (PBE-GGA)

Data for MgSi2Ag8O8 after structural relaxation.

For the total magnetic moment, the calculation gives 0.0 μB per formula unit. Its volume is 16.0 A^3/atom.

Unit cell a=5.107 b=7.712 c=7.712 alpha=90.00 beta=90.00 gamma=90.00
Fractional coordinates of all 19 atoms:
Ag (0.238, 0.343, 0.934)
Ag (0.262, 0.566, 0.343)
Ag (0.666, 0.116, 0.874)
Ag (0.262, 0.934, 0.157)
Ag (0.238, 0.157, 0.566)
Ag (0.834, 0.626, 0.116)
Ag (0.666, 0.384, 0.626)
Ag (0.834, 0.874, 0.384)
Mg (0.750, 0.750, 0.750)
O (0.455, 0.908, 0.699)
O (0.560, 0.412, 0.183)
O (0.940, 0.317, 0.412)
O (0.455, 0.592, 0.801)
O (0.940, 0.183, 0.088)
O (0.045, 0.699, 0.592)
O (0.045, 0.801, 0.908)
O (0.560, 0.088, 0.317)
Si (0.750, 0.250, 0.250)
Si (0.250, 0.750, 0.750)

=====

--- x ---
## MgSi2Ag8O8 (PBE-GGA)

Data for MgSi2Ag8O8 after structural relaxation.

For the total magnetic moment, the calculation gives 0.0 μB per formula unit. Its volume is 14.4 A^3/atom.

Unit cell a=6.214 b=6.553 c=6.729 alpha=95.02 beta=90.00 gamma=90.00
Fractional coordinates of all 19 atoms:
Ag (0.707, 0.678, 0.032)
Ag (0.339, 0.546, 0.321)
Ag (0.707, 0.822, 0.468)
Ag (0.339, 0.954, 0.179)
Ag (0.078, 0.096, 0.497)
Ag (0.905, 0.041, 0.858)
Ag (0.905, 0.459, 0.642)
Ag (0.078, 0.404, 0.003)
O (0.169, 0.758, 0.949)
O (0.493, 0.950, 0.762)
O (0.490, 0.198, 0.436)
O (0.490, 0.302, 0.064)
O (0.808, 0.457, 0.303)
O (0.808, 0.043, 0.197)
O (0.169, 0.742, 0.551)
O (0.493, 0.550, 0.738)
Mg (0.485, 0.250, 0.750)
Si (0.332, 0.750, 0.750)
Si (0.655, 0.250, 0.250)

=====

Which one sits at the bottom of the stability order? w does.

=====

--- w ---
## Sr2MgAg2O4 (PBE-GGA)

Data for Sr2MgAg2O4 after structural relaxation.

For the total magnetic moment, the calculation gives 0.0 μB per formula unit. Its volume is 18.6 A^3/atom.

Unit cell a=6.034 b=6.271 c=6.016 alpha=65.95 beta=88.80 gamma=122.23
Fractional coordinates of all 9 atoms:
O (0.545, 0.589, 0.201)
O (0.887, 0.211, 0.451)
O (0.352, 0.304, 0.826)
O (0.227, 0.927, 0.544)
Sr (0.612, 0.259, 0.146)
Sr (0.469, 0.758, 0.788)
Ag (0.996, 0.564, 0.499)
Ag (0.952, 0.953, 0.070)
Mg (0.235, 0.257, 0.523)

=====

--- x ---
## Sr2MgAg2O4 (PBE-GGA)

Data for Sr2MgAg2O4 after structural relaxation.

For the total magnetic moment, the calculation gives 0.0 μB per formula unit. Its volume is 20.9 A^3/atom.

Unit cell a=6.600 b=6.577 c=6.577 alpha=97.21 beta=55.89 gamma=124.11
Fractional coordinates of all 9 atoms:
Sr (0.500, 0.653, 0.847)
Sr (0.500, 0.347, 0.153)
O (0.034, 0.767, 0.733)
O (0.500, 0.263, 0.763)
O (0.500, 0.737, 0.237)
O (0.966, 0.233, 0.267)
Ag (0.000, 0.000, 0.000)
Ag (0.000, 0.500, 0.500)
Mg (0.500, 0.000, 0.500)

=====

Which one sits at the bottom of the stability order? x does.

=====

--- w ---
## MgZn2Ag4O8 (PBE-GGA)

Data for MgZn2Ag4O8 after structural relaxation.

For the total magnetic moment, the calculation gives 0.2 μB per formula unit. Its volume is 12.8 A^3/atom.

Unit cell a=6.247 b=6.289 c=6.831 alpha=62.41 beta=59.30 gamma=59.99
Fractional coordinates of all 15 atoms:
O (0.860, 0.392, 0.845)
O (0.383, 0.846, 0.421)
O (0.864, 0.855, 0.426)
O (0.383, 0.409, 0.798)
O (0.305, 0.915, 0.868)
O (0.928, 0.337, 0.394)
O (0.860, 0.902, 0.846)
O (0.384, 0.351, 0.420)
Ag (0.623, 0.127, 0.625)
Ag (0.343, 0.252, 0.153)
Ag (0.616, 0.628, 0.127)
Ag (0.623, 0.625, 0.624)
Zn (0.113, 0.630, 0.627)
Zn (0.935, 0.991, 0.086)
Mg (0.124, 0.125, 0.626)

=====

--- x ---
## MgZn2Ag4O8 (PBE-GGA)

Data for MgZn2Ag4O8 after structural relaxation.

For the total magnetic moment, the calculation gives 1.3 μB per formula unit. Its volume is 13.9 A^3/atom.

Unit cell a=3.464 b=5.942 c=10.625 alpha=90.00 beta=90.00 gamma=106.95
Fractional coordinates of all 15 atoms:
Ag (0.123, 0.247, 0.519)
Ag (0.123, 0.247, 0.981)
Ag (0.859, 0.718, 0.062)
Ag (0.859, 0.718, 0.438)
O (0.531, 0.061, 0.441)
O (0.014, 0.029, 0.750)
O (0.735, 0.469, 0.889)
O (0.531, 0.061, 0.059)
O (0.238, 0.475, 0.311)
O (0.931, 0.861, 0.250)
O (0.735, 0.469, 0.611)
O (0.238, 0.475, 0.189)
Mg (0.847, 0.693, 0.750)
Zn (0.599, 0.199, 0.750)
Zn (0.513, 0.027, 0.250)

=====

Which one sits at the bottom of the stability order? x does.